[1]
Density functional theory data (r²SCAN) for Sm3Si2Ir2 after structural relaxation.

Cell lengths 4.124, 5.695, 13.338 Å; angles 90.00, 90.00, 111.23 degrees
Fractional positions:
Sm: 0.229 0.457 0.604
Sm: 0.481 0.961 0.250
Sm: 0.771 0.543 0.396
Sm: 0.229 0.457 0.896
Sm: 0.519 0.039 0.750
Sm: 0.771 0.543 0.104
Si: 0.940 0.881 0.588
Si: 0.940 0.881 0.912
Si: 0.060 0.119 0.412
Si: 0.060 0.119 0.088
Ir: 0.182 0.363 0.250
Ir: 0.818 0.637 0.750
Ir: 0.500 0.000 0.000
Ir: 0.500 0.000 0.500

Output
- calculated volume (A^3/atom) = 20.86
- ΔE_f (eV per atom) = -1.03
- raw total energy (eV per atom) = -31.239
- size of the total moment (μB per atom) = 0.0000

=====

[2]
Density functional theory data (r²SCAN) for HoCuPb after structural relaxation.

Cell lengths 4.559, 4.559, 7.339 Å; angles 90.00, 90.00, 120.00 degrees
Fractional positions:
Ho: 0.000 0.000 0.984
Ho: 0.000 0.000 0.484
Cu: 0.667 0.333 0.316
Cu: 0.333 0.667 0.816
Pb: 0.333 0.667 0.214
Pb: 0.667 0.333 0.714

Output
- calculated volume (A^3/atom) = 22.01
- ΔE_f (eV per atom) = -0.49
- raw total energy (eV per atom) = -33.832
- size of the total moment (μB per atom) = 0.0000

=====

[3]
Density functional theory data (r²SCAN) for TmAs after structural relaxation.

Cell lengths 4.049, 4.049, 4.049 Å; angles 60.00, 60.00, 60.00 degrees
Fractional positions:
Tm: 0.500 0.500 0.500
As: 0.000 0.000 0.000

Output
- calculated volume (A^3/atom) = 23.47
- ΔE_f (eV per atom) = -1.78
- raw total energy (eV per atom) = -26.690
- size of the total moment (μB per atom) = 0.0000

=====

[4]
Density functional theory data (r²SCAN) for ErAl3C3 after structural relaxation.

Cell lengths 3.402, 3.402, 17.153 Å; angles 90.00, 90.00, 120.00 degrees
Fractional positions:
Er: 0.000 0.000 0.500
Er: 0.000 0.000 0.000
Al: 0.333 0.667 0.367
Al: 0.667 0.333 0.633
Al: 0.667 0.333 0.867
Al: 0.333 0.667 0.133
Al: 0.333 0.667 0.750
Al: 0.667 0.333 0.250
C: 0.333 0.667 0.908
C: 0.667 0.333 0.092
C: 0.667 0.333 0.408
C: 0.333 0.667 0.592
C: 0.333 0.667 0.250
C: 0.667 0.333 0.750

Output
- calculated volume (A^3/atom) = 12.28
- ΔE_f (eV per atom) = -0.48
- raw total energy (eV per atom) = -12.472
- size of the total moment (μB per atom) = 0.0000

=====

Q: Which value of ΔE_f does entry 2 give?
A: -0.49 eV per atom

=====

Q: Which value of calculated volume does entry 2 give?
A: 22.01 A^3/atom

=====

Q: Which formula does entry 1 have?
A: Sm3Si2Ir2